A plane-wave DFT calculation with GGA+U was carried out for a relaxed Li3MnC4O12 crystal.

Calculated values
The space-group type is Pc, No. 7. The calculation puts the formation energy at -1.853 eV per atom. Its total magnetization is 8.000 μB/cell.

POSCAR file:
```
Li3MnC4O12
1.0
11.558 0.000 0.000
0.000 9.857 0.000
-0.312 0.000 8.489
Li Mn C O
12 4 16 48
Cartesian
0.000 0.877 0.000 Li
-0.156 8.980 4.245 Li
1.169 1.507 2.827 Li
1.013 8.350 7.072 Li
2.193 3.846 3.999 Li
2.037 6.011 8.243 Li
2.813 1.248 8.262 Li
2.969 8.609 4.017 Li
6.139 3.243 6.053 Li
6.295 6.614 1.808 Li
7.863 4.043 0.431 Li
7.707 5.813 4.676 Li
0.522 3.543 6.798 Mn
0.678 6.314 2.554 Mn
6.968 1.621 2.402 Mn
6.812 8.236 6.647 Mn
0.667 3.853 1.245 C
0.511 6.004 5.489 C
1.333 1.087 5.660 C
1.489 8.770 1.416 C
3.367 3.540 6.653 C
3.523 6.317 2.408 C
4.053 1.298 2.534 C
3.897 8.559 6.779 C
6.379 3.918 3.188 C
6.223 5.939 7.433 C
7.002 1.066 7.832 C
7.158 8.791 3.588 C
9.253 3.863 6.571 C
9.409 5.994 2.326 C
9.861 1.077 2.440 C
9.705 8.779 6.685 C
0.472 3.034 0.250 O
0.316 6.822 4.495 O
0.710 3.439 2.436 O
0.554 6.418 6.680 O
0.644 4.726 5.199 O
0.800 5.131 0.954 O
1.083 1.470 6.904 O
1.239 8.387 2.659 O
1.545 0.174 1.163 O
1.389 9.683 5.407 O
1.491 1.998 4.780 O
1.647 7.859 0.535 O
2.326 4.091 7.310 O
2.482 5.766 3.066 O
3.303 2.274 2.209 O
3.147 7.583 6.453 O
3.736 0.447 3.405 O
3.580 9.410 7.649 O
3.692 4.028 5.530 O
3.848 5.829 1.285 O
3.971 2.577 7.196 O
4.127 7.280 2.952 O
5.165 1.153 1.833 O
5.009 8.704 6.078 O
6.214 2.900 3.982 O
6.069 4.732 7.727 O
6.225 5.125 3.482 O
6.058 6.957 8.226 O
6.766 3.551 1.987 O
6.610 6.306 6.231 O
6.947 0.200 3.713 O
6.791 9.657 7.958 O
7.097 1.677 6.740 O
7.253 8.180 2.495 O
7.469 1.765 0.438 O
7.313 8.092 4.682 O
8.361 4.109 5.699 O
8.517 5.747 1.454 O
8.868 1.808 2.853 O
8.712 8.049 7.097 O
9.148 4.346 7.743 O
9.304 5.511 3.498 O
9.945 0.649 1.245 O
9.789 9.208 5.489 O
10.267 3.098 6.260 O
10.423 6.759 2.015 O
10.814 0.807 3.254 O
10.658 9.050 7.499 O
```